VASP calculation (PBE) on crystalline SnH12PtN4Cl6 at its relaxed geometry.

Results
Energy with MP2020 corrections: -4.727 eV per atom
Formation enthalpy at 0 K: -0.759 eV per atom

Lattice parameters (Å, degrees): 8.2403 8.2403 10.6099 90.00 90.00 94.21
Last column: nearest neighbours and their distance in Å.
Atoms (fractional coordinates):
H (0.0752, 0.7868, 0.1689)  1 N 1.03
H (0.5872, 0.7932, 0.5934)  1 N 1.03
H (0.0872, 0.2932, 0.9066)  1 N 1.03
H (0.9075, 0.2956, 0.9728)  1 N 1.03
H (0.9248, 0.2132, 0.8311)  1 N 1.03
H (0.5925, 0.2044, 0.4728)  1 N 1.03
H (0.2132, 0.9248, 0.8311)  1 N 1.03
H (0.7044, 0.0925, 0.0272)  1 N 1.03
H (0.7868, 0.0752, 0.1689)  1 N 1.03
H (0.2956, 0.9075, 0.9728)  1 N 1.03
H (0.7932, 0.5872, 0.5934)  1 N 1.03
H (0.2068, 0.4128, 0.4066)  1 N 1.03
H (0.0925, 0.7044, 0.0272)  1 N 1.03
H (0.4128, 0.2068, 0.4066)  1 N 1.03
H (0.4248, 0.7132, 0.6689)  1 N 1.03
H (0.7956, 0.4075, 0.5272)  1 N 1.03
H (0.2932, 0.0872, 0.9066)  1 N 1.03
H (0.9128, 0.7068, 0.0934)  1 N 1.03
H (0.2868, 0.5752, 0.3311)  1 N 1.03
H (0.2044, 0.5925, 0.4728)  1 N 1.03
H (0.7132, 0.4248, 0.6689)  1 N 1.03
H (0.4075, 0.7956, 0.5272)  1 N 1.03
H (0.7068, 0.9128, 0.0934)  1 N 1.03
H (0.5752, 0.2868, 0.3311)  1 N 1.03
Cl (0.6820, 0.6820, 0.8728)  1 Sn 2.45
Cl (0.9407, 0.2358, 0.3644)  1 Sn 2.49, 3 H 2.58-2.72
Cl (0.5593, 0.2642, 0.8644)  1 Sn 2.49, 3 H 2.58-2.72
Cl (0.8180, 0.8180, 0.3728)  1 Sn 2.45
Cl (0.3180, 0.3180, 0.1272)  1 Sn 2.45
Cl (0.0593, 0.7642, 0.6356)  1 Sn 2.49, 3 H 2.58-2.72
Cl (0.4407, 0.7358, 0.1356)  1 Sn 2.49, 3 H 2.58-2.72
Cl (0.1820, 0.1820, 0.6272)  1 Sn 2.45
Cl (0.7642, 0.0593, 0.6356)  1 Sn 2.49, 3 H 2.58-2.72
Cl (0.2642, 0.5593, 0.8644)  1 Sn 2.49, 3 H 2.58-2.72
Cl (0.7358, 0.4407, 0.1356)  1 Sn 2.49, 3 H 2.58-2.72
Cl (0.2358, 0.9407, 0.3644)  1 Sn 2.49, 3 H 2.58-2.72
N (0.4788, 0.7254, 0.5815)  3 H 1.03
N (0.5212, 0.2746, 0.4185)  3 H 1.03
N (0.9788, 0.2254, 0.9185)  3 H 1.03
N (0.0212, 0.7746, 0.0815)  3 H 1.03
N (0.7746, 0.0212, 0.0815)  3 H 1.03
N (0.2254, 0.9788, 0.9185)  3 H 1.03
N (0.7254, 0.4788, 0.5815)  3 H 1.03
N (0.2746, 0.5212, 0.4185)  3 H 1.03
Pt (0.0000, 0.0000, 0.0000)  4 N 2.07
Pt (0.5000, 0.5000, 0.5000)  4 N 2.07
Sn (0.0000, 0.0000, 0.5000)  6 Cl 2.45-2.49
Sn (0.5000, 0.5000, 0.0000)  6 Cl 2.45-2.49